A geometry-optimized NaZnAsO4 structure. Source: the Materials Project, functional PBE.

Properties
Its energy of formation is -1.936 eV/atom. The crystal system is monoclinic. For the density, the calculation gives 3.70 g/cm3. The calculation puts the offset from the most stable computed form at 0 meV per atom.

a b c (Å): 9.1030 8.4188 18.3572
angles (deg): 90.00 119.52 90.00
Space group P2_1/c (No. 14)
Symmetry-distinct sites (fractional):
Na (0.0019, 0.0405, 0.2452) x4
Na (0.2975, 0.5304, 0.5704) x4
Na (0.3519, 0.5372, 0.0880) x4
Zn (0.0175, 0.6669, 0.9207) x4
Zn (0.3202, 0.6705, 0.7414) x4
Zn (0.3432, 0.1631, 0.9079) x4
As (0.0283, 0.2232, 0.4205) x4
As (0.3124, 0.2245, 0.2327) x4
As (0.3497, 0.7294, 0.4109) x4
O (0.0944, 0.7390, 0.5335) x4
O (0.0989, 0.7203, 0.1869) x4
O (0.1302, 0.0436, 0.4528) x4
O (0.1329, 0.7251, 0.3670) x4
O (0.1829, 0.1337, 0.9500) x4
O (0.2187, 0.2454, 0.2943) x4
O (0.2291, 0.1389, 0.6521) x4
O (0.2563, 0.0411, 0.1849) x4
O (0.4054, 0.6283, 0.8611) x4
O (0.4198, 0.5507, 0.3936) x4
O (0.4375, 0.7336, 0.0168) x4
O (0.4722, 0.7425, 0.2034) x4